Entry from the Materials Project: a relaxed Li3Mn4P8O28 crystal (PBE+U).

Relative energy among the computed polymorphs ... 2 meV/atom
Magnetic moment ... 30.0 μB per cell
Calculated density ... 2.98 g/cm³

Cell lengths 9.806, 9.810, 11.065 Å; angles 78.71, 89.82, 88.87 degrees
Space group P1 (No. 1)
One atom of each set of equivalent atoms:
Li  0.000  0.000  0.000 [1 per cell]
Li  0.029  0.566  0.494 [1 per cell]
Li  0.317  0.064  0.489 [1 per cell]
Li  0.523  0.247  0.443 [1 per cell]
Li  0.703  0.047  0.919 [1 per cell]
Li  0.813  0.744  0.440 [1 per cell]
Mn  0.132  0.383  0.296 [1 per cell]
Mn  0.204  0.888  0.293 [1 per cell]
Mn  0.340  0.352  0.808 [1 per cell]
Mn  0.497  0.964  0.130 [1 per cell]
Mn  0.635  0.424  0.637 [1 per cell]
Mn  0.712  0.923  0.638 [1 per cell]
Mn  0.844  0.462  0.125 [1 per cell]
Mn  0.998  0.852  0.797 [1 per cell]
P  0.066  0.528  0.894 [1 per cell]
P  0.132  0.275  0.588 [1 per cell]
P  0.212  0.773  0.584 [1 per cell]
P  0.278  0.027  0.903 [1 per cell]
P  0.351  0.220  0.221 [1 per cell]
P  0.358  0.624  0.223 [1 per cell]
P  0.483  0.688  0.709 [1 per cell]
P  0.489  0.096  0.710 [1 per cell]
P  0.570  0.294  0.031 [1 per cell]
P  0.631  0.536  0.344 [1 per cell]
P  0.710  0.038  0.347 [1 per cell]
P  0.773  0.787  0.037 [1 per cell]
P  0.845  0.591  0.708 [1 per cell]
P  0.863  0.181  0.713 [1 per cell]
P  0.983  0.128  0.226 [1 per cell]
P  0.989  0.719  0.224 [1 per cell]
O  0.006  0.254  0.683 [1 per cell]
O  0.010  0.132  0.093 [1 per cell]
O  0.071  0.683  0.902 [1 per cell]
O  0.080  0.381  0.472 [1 per cell]
O  0.083  0.037  0.318 [1 per cell]
O  0.096  0.844  0.647 [1 per cell]
O  0.101  0.821  0.163 [1 per cell]
O  0.138  0.969  0.884 [1 per cell]
O  0.170  0.138  0.559 [1 per cell]
O  0.183  0.634  0.556 [1 per cell]
O  0.209  0.473  0.872 [1 per cell]
O  0.228  0.313  0.166 [1 per cell]
O  0.239  0.343  0.657 [1 per cell]
O  0.259  0.531  0.309 [1 per cell]
O  0.263  0.879  0.469 [1 per cell]
O  0.273  0.178  0.917 [1 per cell]
O  0.326  0.633  0.087 [1 per cell]
O  0.334  0.758  0.683 [1 per cell]
O  0.344  0.068  0.196 [1 per cell]
O  0.357  0.022  0.774 [1 per cell]
O  0.358  0.221  0.357 [1 per cell]
O  0.362  0.935  0.007 [1 per cell]
O  0.363  0.770  0.260 [1 per cell]
O  0.476  0.543  0.669 [1 per cell]
O  0.483  0.091  0.575 [1 per cell]
O  0.485  0.384  0.927 [1 per cell]
O  0.486  0.288  0.159 [1 per cell]
O  0.494  0.246  0.737 [1 per cell]
O  0.506  0.555  0.247 [1 per cell]
O  0.513  0.680  0.843 [1 per cell]
O  0.579  0.784  0.621 [1 per cell]
O  0.581  0.142  0.016 [1 per cell]
O  0.582  0.431  0.460 [1 per cell]
O  0.601  0.971  0.278 [1 per cell]
O  0.614  0.006  0.768 [1 per cell]
O  0.638  0.864  0.048 [1 per cell]
O  0.663  0.674  0.374 [1 per cell]
O  0.674  0.175  0.378 [1 per cell]
O  0.707  0.351  0.054 [1 per cell]
O  0.729  0.494  0.765 [1 per cell]
O  0.744  0.469  0.277 [1 per cell]
O  0.758  0.268  0.625 [1 per cell]
O  0.762  0.930  0.462 [1 per cell]
O  0.763  0.639  0.020 [1 per cell]
O  0.832  0.740  0.735 [1 per cell]
O  0.836  0.057  0.252 [1 per cell]
O  0.841  0.170  0.848 [1 per cell]
O  0.848  0.787  0.167 [1 per cell]
O  0.854  0.588  0.572 [1 per cell]
O  0.862  0.881  0.938 [1 per cell]
O  0.874  0.030  0.677 [1 per cell]
O  0.973  0.275  0.263 [1 per cell]
O  0.983  0.523  0.770 [1 per cell]
O  0.988  0.721  0.360 [1 per cell]
O  0.989  0.442  0.002 [1 per cell]
O  0.999  0.570  0.196 [1 per cell]



Entry from the Materials Project: a relaxed Li9Mn2Co5O16 crystal (PBE+U).

Relative energy among the computed polymorphs ... 49 meV/atom
Magnetic moment ... 10.0 μB per cell
Calculated density ... 4.24 g/cm³

Cell lengths 5.831, 5.863, 10.002 Å; angles 88.63, 73.64, 60.58 degrees
Space group P-1 (No. 2)
One atom of each set of equivalent atoms:
Li  0.000  0.000  0.000 [1 per cell]
Li  0.000  0.000  0.500 [1 per cell]
Li  0.000  0.500  0.000 [1 per cell]
Li  0.000  0.500  0.500 [1 per cell]
Li  0.019  0.237  0.239 [2 per cell]
Li  0.028  0.723  0.230 [2 per cell]
Li  0.500  0.500  0.000 [1 per cell]
Mn  0.500  0.000  0.500 [1 per cell]
Mn  0.500  0.500  0.500 [1 per cell]
Co  0.493  0.754  0.755 [2 per cell]
Co  0.499  0.745  0.234 [2 per cell]
Co  0.500  0.000  0.000 [1 per cell]
O  0.252  0.134  0.883 [2 per cell]
O  0.263  0.625  0.383 [2 per cell]
O  0.267  0.878  0.125 [2 per cell]
O  0.272  0.624  0.858 [2 per cell]
O  0.285  0.351  0.613 [2 per cell]
O  0.286  0.852  0.612 [2 per cell]
O  0.287  0.338  0.124 [2 per cell]
O  0.288  0.113  0.370 [2 per cell]



Entry from the Materials Project: a relaxed Li9Mn2Co5O16 crystal (PBE+U).

Relative energy among the computed polymorphs ... 59 meV/atom
Magnetic moment ... 14.4 μB per cell
Calculated density ... 4.13 g/cm³

Cell lengths 12.885, 2.926, 15.419 Å; angles 90.00, 91.95, 90.00 degrees
Space group Cm (No. 8)
One atom of each set of equivalent atoms:
Li  0.000  0.000  0.000 [2 per cell]
Li  0.002  0.500  0.490 [2 per cell]
Li  0.125  0.000  0.374 [2 per cell]
Li  0.128  0.500  0.873 [2 per cell]
Li  0.190  0.000  0.558 [2 per cell]
Li  0.247  0.000  0.741 [2 per cell]
Li  0.250  0.500  0.249 [2 per cell]
Li  0.369  0.500  0.613 [2 per cell]
Li  0.375  0.000  0.125 [2 per cell]
Mn  0.071  0.500  0.680 [2 per cell]
Mn  0.437  0.500  0.808 [2 per cell]
Co  0.059  0.000  0.185 [2 per cell]
Co  0.186  0.500  0.060 [2 per cell]
Co  0.303  0.500  0.440 [2 per cell]
Co  0.309  0.000  0.935 [2 per cell]
Co  0.433  0.000  0.312 [2 per cell]
O  0.035  0.000  0.603 [2 per cell]
O  0.035  0.500  0.093 [2 per cell]
O  0.086  0.500  0.272 [2 per cell]
O  0.089  0.000  0.768 [2 per cell]
O  0.160  0.000  0.970 [2 per cell]
O  0.167  0.500  0.461 [2 per cell]
O  0.208  0.500  0.657 [2 per cell]
O  0.213  0.000  0.145 [2 per cell]
O  0.285  0.500  0.847 [2 per cell]
O  0.290  0.000  0.342 [2 per cell]
O  0.340  0.500  0.020 [2 per cell]
O  0.345  0.000  0.520 [2 per cell]
O  0.411  0.500  0.218 [2 per cell]
O  0.416  0.000  0.724 [2 per cell]
O  0.464  0.500  0.397 [2 per cell]
O  0.465  0.000  0.892 [2 per cell]



Entry from the Materials Project: a relaxed Nd4Ni3O8 crystal (PBE+U).

E_tot ... -6.796 eV/atom
Magnetic moment ... 4.0 μB per cell
Calculated density ... 7.33 g/cm³

Cell lengths 3.963, 3.963, 25.421 Å; angles 90.00, 90.00, 90.00 degrees
Space group I4/mmm (No. 139)
One atom of each set of equivalent atoms:
Nd  0.000  0.000  0.066 [4 per cell]
Nd  0.000  0.000  0.202 [4 per cell]
Ni  0.000  0.000  0.375 [4 per cell]
Ni  0.000  0.000  0.500 [2 per cell]
O  0.000  0.500  0.000 [4 per cell]
O  0.000  0.500  0.125 [8 per cell]
O  0.000  0.500  0.250 [4 per cell]



Entry from the Materials Project: a relaxed VO2F crystal (PBE+U).

E_tot ... -6.736 eV/atom
Magnetic moment ... 0.0 μB per cell
Calculated density ... 3.46 g/cm³

Cell lengths 5.054, 5.062, 12.997 Å; angles 87.85, 88.13, 62.10 degrees
Space group P-1 (No. 2)
One atom of each set of equivalent atoms:
V  0.000  0.000  0.000 [1 per cell]
V  0.000  0.000  0.500 [1 per cell]
V  0.261  0.374  0.336 [2 per cell]
V  0.378  0.297  0.835 [2 per cell]
O  0.004  0.416  0.250 [2 per cell]
O  0.070  0.674  0.416 [2 per cell]
O  0.082  0.244  0.919 [2 per cell]
O  0.254  0.079  0.419 [2 per cell]
O  0.339  0.925  0.082 [2 per cell]
O  0.431  0.583  0.249 [2 per cell]
F  0.262  0.667  0.916 [2 per cell]
F  0.323  0.740  0.584 [2 per cell]
F  0.401  0.994  0.750 [2 per cell]



Entry from the Materials Project: a relaxed MnInO3 crystal (PBE+U).

E_tot ... -6.589 eV/atom
Magnetic moment ... 8.0 μB per cell
Calculated density ... 5.89 g/cm³

Cell lengths 3.4621, 3.4621, 11.8254 Å; angles 90.00, 90.00, 120.00 degrees
Space group P6_3/mmc (No. 194)
One atom of each set of equivalent atoms:
Mn  0.3333  0.6667  0.2500 [2 per cell]
In  0.0000  0.0000  0.0000 [2 per cell]
O  0.0000  0.0000  0.2500 [2 per cell]
O  0.3333  0.6667  0.0845 [4 per cell]



Entry from the Materials Project: a relaxed Ba2MgMnO4 crystal (PBE+U).

Relative energy among the computed polymorphs ... 313 meV/atom
Magnetic moment ... 10.0 μB per cell
Calculated density ... 5.13 g/cm³

Cell lengths 3.629, 3.629, 20.556 Å; angles 90.00, 90.00, 90.00 degrees
Space group I-4m2 (No. 119)
One atom of each set of equivalent atoms:
Ba  0.000  0.000  0.131 [4 per cell]
Mg  0.000  0.500  0.250 [2 per cell]
Mn  0.000  0.000  0.500 [2 per cell]
O  0.000  0.000  0.302 [4 per cell]
O  0.000  0.500  0.048 [4 per cell]



Entry from the Materials Project: a relaxed Li6V3P8O29 crystal (PBE+U).

Relative energy among the computed polymorphs ... 8 meV/atom
Magnetic moment ... 6.0 μB per cell
Calculated density ... 2.61 g/cm³

Cell lengths 9.802, 9.808, 13.848 Å; angles 89.79, 89.79, 60.08 degrees
Space group P1 (No. 1)
One atom of each set of equivalent atoms:
Li  0.000  0.000  0.000 [1 per cell]
Li  0.005  0.435  0.500 [1 per cell]
Li  0.101  0.664  0.937 [1 per cell]
Li  0.191  0.892  0.380 [1 per cell]
Li  0.203  0.325  0.876 [1 per cell]
Li  0.330  0.338  0.381 [1 per cell]
Li  0.338  0.765  0.876 [1 per cell]
Li  0.424  0.569  0.500 [1 per cell]
Li  0.440  0.426  0.000 [1 per cell]
Li  0.764  0.900  0.875 [1 per cell]
Li  0.778  0.760  0.382 [1 per cell]
Li  0.866  0.561  0.001 [1 per cell]
V  0.100  0.096  0.190 [1 per cell]
V  0.102  0.227  0.688 [1 per cell]
V  0.535  0.664  0.688 [1 per cell]
V  0.537  0.228  0.191 [1 per cell]
V  0.668  0.663  0.190 [1 per cell]
V  0.669  0.097  0.686 [1 per cell]
P  0.013  0.432  0.282 [1 per cell]
P  0.014  0.976  0.782 [1 per cell]
P  0.189  0.892  0.596 [1 per cell]
P  0.190  0.347  0.097 [1 per cell]
P  0.330  0.751  0.096 [1 per cell]
P  0.332  0.344  0.597 [1 per cell]
P  0.417  0.435  0.782 [1 per cell]
P  0.420  0.575  0.281 [1 per cell]
P  0.434  0.996  0.312 [1 per cell]
P  0.435  0.997  0.813 [1 per cell]
P  0.767  0.331  0.567 [1 per cell]
P  0.769  0.330  0.065 [1 per cell]
P  0.785  0.752  0.597 [1 per cell]
P  0.786  0.891  0.096 [1 per cell]
P  0.871  0.978  0.282 [1 per cell]
P  0.875  0.573  0.782 [1 per cell]
O  0.003  0.283  0.263 [1 per cell]
O  0.010  0.133  0.770 [1 per cell]
O  0.017  0.000  0.281 [1 per cell]
O  0.021  0.406  0.780 [1 per cell]
O  0.102  0.455  0.189 [1 per cell]
O  0.103  0.419  0.372 [1 per cell]
O  0.103  0.869  0.689 [1 per cell]
O  0.103  0.886  0.872 [1 per cell]
O  0.104  0.437  0.006 [1 per cell]
O  0.105  0.904  0.505 [1 per cell]
O  0.182  0.330  0.597 [1 per cell]
O  0.183  0.918  0.098 [1 per cell]
O  0.193  0.191  0.109 [1 per cell]
O  0.199  0.043  0.617 [1 per cell]
O  0.288  0.988  0.270 [1 per cell]
O  0.290  0.152  0.773 [1 per cell]
O  0.308  0.456  0.689 [1 per cell]
O  0.309  0.663  0.190 [1 per cell]
O  0.324  0.442  0.872 [1 per cell]
O  0.325  0.664  0.006 [1 per cell]
O  0.344  0.423  0.507 [1 per cell]
O  0.344  0.665  0.372 [1 per cell]
O  0.356  0.745  0.599 [1 per cell]
O  0.357  0.326  0.099 [1 per cell]
O  0.426  0.852  0.773 [1 per cell]
O  0.427  0.150  0.271 [1 per cell]
O  0.433  0.995  0.420 [1 per cell]
O  0.436  0.410  0.282 [1 per cell]
O  0.437  0.582  0.780 [1 per cell]
O  0.438  0.997  0.921 [1 per cell]
O  0.479  0.183  0.614 [1 per cell]
O  0.482  0.755  0.108 [1 per cell]
O  0.572  0.282  0.771 [1 per cell]
O  0.580  0.564  0.262 [1 per cell]
O  0.588  0.849  0.271 [1 per cell]
O  0.590  0.990  0.771 [1 per cell]
O  0.612  0.478  0.607 [1 per cell]
O  0.614  0.340  0.106 [1 per cell]
O  0.625  0.758  0.617 [1 per cell]
O  0.629  0.043  0.109 [1 per cell]
O  0.720  0.139  0.263 [1 per cell]
O  0.722  0.570  0.770 [1 per cell]
O  0.762  0.916  0.599 [1 per cell]
O  0.765  0.333  0.459 [1 per cell]
O  0.766  0.744  0.099 [1 per cell]
O  0.767  0.184  0.614 [1 per cell]
O  0.770  0.330  0.957 [1 per cell]
O  0.779  0.474  0.106 [1 per cell]
O  0.848  0.580  0.282 [1 per cell]
O  0.849  0.994  0.782 [1 per cell]
O  0.859  0.659  0.507 [1 per cell]
O  0.861  0.894  0.368 [1 per cell]
O  0.876  0.886  0.004 [1 per cell]
O  0.881  0.659  0.872 [1 per cell]
O  0.896  0.660  0.689 [1 per cell]
O  0.897  0.873  0.186 [1 per cell]
O  0.913  0.174  0.106 [1 per cell]
O  0.915  0.336  0.607 [1 per cell]